--- a ---
# NaSrEuWO6 PBE+U relaxed
data_NaSrEuWO6
_chemical_formula_sum 'Na1 Sr1 Eu1 W1 O6'
_cell_length_a 5.8161
_cell_length_b 5.8161
_cell_length_c 5.8161
_cell_angle_alpha 60.00
_cell_angle_beta 60.00
_cell_angle_gamma 60.00
_symmetry_space_group_name_H-M 'P 1'
_symmetry_Int_Tables_number 1
loop_
_symmetry_equiv_pos_as_xyz
'x,y,z'
loop_
_atom_site_label
_atom_site_type_symbol
_atom_site_fract_x
_atom_site_fract_y
_atom_site_fract_z
Na1 Na 0.0000 0.0000 0.0000
Sr1 Sr 0.7500 0.7500 0.7500
Eu1 Eu 0.2500 0.2500 0.2500
W1 W 0.5000 0.5000 0.5000
O1 O 0.2645 0.2645 0.7355
O2 O 0.2645 0.7355 0.2645
O3 O 0.2645 0.7355 0.7355
O4 O 0.7355 0.2645 0.2645
O5 O 0.7355 0.2645 0.7355
O6 O 0.7355 0.7355 0.2645
# Total magnetic moment: 0.600 μB/atom



--- b ---
# NaSrEuWO6 PBE+U relaxed
data_NaSrEuWO6
_chemical_formula_sum 'Na1 Sr1 Eu1 W1 O6'
_cell_length_a 5.9663
_cell_length_b 5.9663
_cell_length_c 5.9663
_cell_angle_alpha 60.00
_cell_angle_beta 60.00
_cell_angle_gamma 60.00
_symmetry_space_group_name_H-M 'P 1'
_symmetry_Int_Tables_number 1
loop_
_symmetry_equiv_pos_as_xyz
'x,y,z'
loop_
_atom_site_label
_atom_site_type_symbol
_atom_site_fract_x
_atom_site_fract_y
_atom_site_fract_z
Na1 Na 0.0000 0.0000 0.0000
Sr1 Sr 0.5000 0.5000 0.5000
Eu1 Eu 0.7500 0.7500 0.7500
W1 W 0.2500 0.2500 0.2500
O1 O 0.0190 0.0190 0.4810
O2 O 0.0190 0.4810 0.0190
O3 O 0.0190 0.4810 0.4810
O4 O 0.4810 0.0190 0.0190
O5 O 0.4810 0.0190 0.4810
O6 O 0.4810 0.4810 0.0190
# Total magnetic moment: 0.600 μB/atom



Here are the energies relative to the best structure, in meV/atom: a 76; b 0.



--- a ---
# Li2V3SnO8 PBE+U relaxed
data_Li2V3SnO8
_chemical_formula_sum 'Li4 V6 Sn2 O16'
_cell_length_a 6.0644
_cell_length_b 6.0669
_cell_length_c 8.5200
_cell_angle_alpha 89.45
_cell_angle_beta 89.99
_cell_angle_gamma 89.27
_symmetry_space_group_name_H-M 'P 1'
_symmetry_Int_Tables_number 1
loop_
_symmetry_equiv_pos_as_xyz
'x,y,z'
loop_
_atom_site_label
_atom_site_type_symbol
_atom_site_fract_x
_atom_site_fract_y
_atom_site_fract_z
Li1 Li 0.0000 0.0000 0.0000
Li2 Li 0.0093 0.7655 0.6336
Li3 Li 0.4988 0.5007 0.4998
Li4 Li 0.5095 0.2653 0.1335
V1 V 0.0022 0.2890 0.6383
V2 V 0.2462 0.5170 0.8750
V3 V 0.2667 0.0167 0.3774
V4 V 0.5028 0.7885 0.1385
V5 V 0.7457 0.0174 0.3752
V6 V 0.7670 0.5161 0.8775
Sn1 Sn 0.0073 0.5301 0.2501
Sn2 Sn 0.5065 0.0297 0.7499
O1 O 0.0020 0.7279 0.8773
O2 O 0.0054 0.2580 0.3895
O3 O 0.0093 0.2743 0.8656
O4 O 0.0095 0.7941 0.3864
O5 O 0.2327 0.0241 0.6188
O6 O 0.2374 0.4871 0.6430
O7 O 0.2761 0.9857 0.1396
O8 O 0.2791 0.5235 0.1179
O9 O 0.5018 0.2286 0.3770
O10 O 0.5054 0.7578 0.8895
O11 O 0.5090 0.7748 0.3661
O12 O 0.5097 0.2936 0.8862
O13 O 0.7333 0.5235 0.1191
O14 O 0.7376 0.9861 0.1430
O15 O 0.7763 0.4864 0.6393
O16 O 0.7784 0.0239 0.6178
# Total magnetic moment: 0.000 μB/atom



--- b ---
# Li2V3SnO8 PBE+U relaxed
data_Li2V3SnO8
_chemical_formula_sum 'Li4 V6 Sn2 O16'
_cell_length_a 6.0054
_cell_length_b 6.0103
_cell_length_c 10.7942
_cell_angle_alpha 74.09
_cell_angle_beta 74.36
_cell_angle_gamma 60.57
_symmetry_space_group_name_H-M 'P 1'
_symmetry_Int_Tables_number 1
loop_
_symmetry_equiv_pos_as_xyz
'x,y,z'
loop_
_atom_site_label
_atom_site_type_symbol
_atom_site_fract_x
_atom_site_fract_y
_atom_site_fract_z
Li1 Li 0.0595 0.0586 0.3143
Li2 Li 0.4314 0.4450 0.1809
Li3 Li 0.5686 0.5550 0.8191
Li4 Li 0.9405 0.9414 0.6857
V1 V 0.0000 0.0000 0.0000
V2 V 0.0000 0.5000 0.0000
V3 V 0.0000 0.5000 0.5000
V4 V 0.5000 0.0000 0.0000
V5 V 0.5000 0.0000 0.5000
V6 V 0.5000 0.5000 0.5000
Sn1 Sn 0.2588 0.2456 0.7498
Sn2 Sn 0.7412 0.7544 0.2502
O1 O 0.0893 0.6470 0.1189
O2 O 0.1385 0.1316 0.1005
O3 O 0.1475 0.5980 0.6150
O4 O 0.1546 0.1318 0.6175
O5 O 0.3710 0.3755 0.4013
O6 O 0.3734 0.3451 0.8862
O7 O 0.3745 0.8958 0.8854
O8 O 0.3950 0.8477 0.3838
O9 O 0.6050 0.1523 0.6162
O10 O 0.6255 0.1042 0.1146
O11 O 0.6266 0.6549 0.1138
O12 O 0.6290 0.6245 0.5987
O13 O 0.8454 0.8682 0.3825
O14 O 0.8525 0.4020 0.3850
O15 O 0.8615 0.8684 0.8995
O16 O 0.9107 0.3530 0.8811
# Total magnetic moment: 0.357 μB/atom



Here are the energies relative to the best structure, in meV/atom: a 37; b 0.